DFT (PBE with a Hubbard U) results for a geometry-optimized Li5Mn4P8O28 structure.

a b c (Å): 9.7944 9.8128 11.2810
angles (deg): 77.89 89.84 89.84
Last column: nearest neighbours and their distance in Å.
Space group P1 (No. 1)
One atom of each set of equivalent atoms:
Li1 0.0000 0.0000 0.0000 (multiplicity 1)  3 O 1.83-1.99
Li2 0.0077 0.0114 0.5122 (multiplicity 1)  2 O 1.92-1.98
Li3 0.0299 0.5692 0.4902 (multiplicity 1)  4 O 1.84-1.94
Li4 0.3135 0.0717 0.4948 (multiplicity 1)  4 O 1.89-2.00
Li5 0.3373 0.4994 0.0009 (multiplicity 1)  3 O 1.84-2.00
Li6 0.5121 0.8066 0.4187 (multiplicity 1)  3 O 1.98-2.13
Li7 0.5264 0.2484 0.4402 (multiplicity 1)  4 O 1.83-1.96
Li8 0.6393 0.5507 0.9138 (multiplicity 1)  3 O 1.92-2.04
Li9 0.7002 0.0503 0.9132 (multiplicity 1)  4 O 1.92-2.15
Li10 0.8147 0.7453 0.4369 (multiplicity 1)  4 O 1.88-1.96
Mn1 0.1352 0.3939 0.2911 (multiplicity 1)  4 O 1.93-2.00
Mn2 0.2048 0.8937 0.2910 (multiplicity 1)  4 O 1.99-2.05
Mn3 0.3392 0.3640 0.7890 (multiplicity 1)  5 O 1.93-2.13
Mn4 0.4909 0.9648 0.1290 (multiplicity 1)  5 O 1.99-2.14
Mn5 0.6296 0.4154 0.6396 (multiplicity 1)  5 O 1.98-2.17
Mn6 0.7065 0.9150 0.6388 (multiplicity 1)  5 O 2.09-2.24
Mn7 0.8488 0.4665 0.1306 (multiplicity 1)  5 O 1.98-2.11
Mn8 0.9989 0.8655 0.7911 (multiplicity 1)  5 O 1.99-2.19
P1 0.0614 0.5380 0.8944 (multiplicity 1)  4 O 1.53-1.62
P2 0.1279 0.2795 0.5747 (multiplicity 1)  4 O 1.51-1.61
P3 0.2135 0.7760 0.5730 (multiplicity 1)  4 O 1.49-1.62
P4 0.2745 0.0409 0.8886 (multiplicity 1)  4 O 1.53-1.61
P5 0.3527 0.2211 0.2242 (multiplicity 1)  4 O 1.51-1.59
P6 0.3601 0.6287 0.2212 (multiplicity 1)  4 O 1.49-1.60
P7 0.4701 0.6818 0.7071 (multiplicity 1)  4 O 1.49-1.61
P8 0.4922 0.0983 0.7072 (multiplicity 1)  4 O 1.51-1.61
P9 0.5743 0.2908 0.0395 (multiplicity 1)  4 O 1.52-1.63
P10 0.6313 0.5391 0.3468 (multiplicity 1)  4 O 1.51-1.62
P11 0.7129 0.0428 0.3500 (multiplicity 1)  4 O 1.48-1.62
P12 0.7661 0.7899 0.0398 (multiplicity 1)  4 O 1.52-1.63
P13 0.8494 0.5985 0.7062 (multiplicity 1)  4 O 1.51-1.60
P14 0.8685 0.1861 0.7100 (multiplicity 1)  4 O 1.49-1.60
P15 0.9796 0.1309 0.2223 (multiplicity 1)  4 O 1.48-1.61
P16 0.9881 0.7212 0.2223 (multiplicity 1)  4 O 1.51-1.60
O1 0.0045 0.5744 0.1917 (multiplicity 1)  1 P 1.56
O2 0.0104 0.2666 0.6769 (multiplicity 1)  2 P 1.60-1.61
O3 0.0166 0.1289 0.0952 (multiplicity 1)  1 P 1.48
O4 0.0675 0.6922 0.8993 (multiplicity 1)  1 P 1.53
O5 0.0700 0.0341 0.3216 (multiplicity 1)  1 P 1.58
O6 0.0744 0.3873 0.4612 (multiplicity 1)  1 P 1.57
O7 0.0938 0.8498 0.6207 (multiplicity 1)  1 P 1.53
O8 0.0989 0.8274 0.1629 (multiplicity 1)  1 P 1.56
O9 0.1308 0.9856 0.8738 (multiplicity 1)  1 P 1.53
O10 0.1458 0.1392 0.5418 (multiplicity 1)  1 P 1.51
O11 0.1883 0.6392 0.5404 (multiplicity 1)  1 P 1.49
O12 0.2042 0.4786 0.8798 (multiplicity 1)  1 P 1.54
O13 0.2433 0.3280 0.1636 (multiplicity 1)  1 P 1.55
O14 0.2492 0.3352 0.6327 (multiplicity 1)  1 P 1.52
O15 0.2599 0.5390 0.3116 (multiplicity 1)  1 P 1.55
O16 0.2706 0.1968 0.8942 (multiplicity 1)  1 P 1.54
O17 0.2825 0.8824 0.4616 (multiplicity 1)  1 P 1.60
O18 0.3221 0.7544 0.6829 (multiplicity 1)  2 P 1.61-1.62
O19 0.3348 0.0728 0.1954 (multiplicity 1)  1 P 1.57
O20 0.3352 0.6360 0.0901 (multiplicity 1)  1 P 1.49
O21 0.3510 0.0304 0.7644 (multiplicity 1)  2 P 1.61
O22 0.3517 0.9533 0.9964 (multiplicity 1)  1 P 1.53
O23 0.3560 0.2186 0.3582 (multiplicity 1)  1 P 1.51
O24 0.3670 0.7769 0.2585 (multiplicity 1)  1 P 1.60
O25 0.4558 0.5271 0.6835 (multiplicity 1)  1 P 1.60
O26 0.4832 0.0945 0.5741 (multiplicity 1)  1 P 1.51
O27 0.4861 0.3878 0.9447 (multiplicity 1)  1 P 1.54
O28 0.4962 0.2791 0.1690 (multiplicity 1)  2 P 1.59-1.63
O29 0.5017 0.2471 0.7342 (multiplicity 1)  1 P 1.56
O30 0.5064 0.6827 0.8354 (multiplicity 1)  1 P 1.49
O31 0.5077 0.5585 0.2499 (multiplicity 1)  2 P 1.60-1.62
O32 0.5629 0.7649 0.6068 (multiplicity 1)  1 P 1.54
O33 0.5837 0.4307 0.4591 (multiplicity 1)  1 P 1.55
O34 0.5880 0.1423 0.0208 (multiplicity 1)  1 P 1.52
O35 0.5937 0.9700 0.2951 (multiplicity 1)  1 P 1.57
O36 0.6094 0.0065 0.7683 (multiplicity 1)  1 P 1.53
O37 0.6278 0.8551 0.0569 (multiplicity 1)  1 P 1.53
O38 0.6535 0.6790 0.3789 (multiplicity 1)  1 P 1.51
O39 0.6813 0.1781 0.3832 (multiplicity 1)  1 P 1.48
O40 0.7097 0.3612 0.0554 (multiplicity 1)  1 P 1.53
O41 0.7285 0.5062 0.7624 (multiplicity 1)  1 P 1.54
O42 0.7488 0.4825 0.2796 (multiplicity 1)  1 P 1.54
O43 0.7552 0.6414 0.0203 (multiplicity 1)  1 P 1.52
O44 0.7635 0.2689 0.6215 (multiplicity 1)  1 P 1.54
O45 0.7785 0.9357 0.4577 (multiplicity 1)  1 P 1.57
O46 0.8274 0.0700 0.2432 (multiplicity 1)  2 P 1.61-1.62
O47 0.8376 0.7463 0.7348 (multiplicity 1)  1 P 1.55
O48 0.8420 0.1764 0.8421 (multiplicity 1)  1 P 1.49
O49 0.8442 0.7809 0.1686 (multiplicity 1)  2 P 1.60-1.63
O50 0.8524 0.8883 0.9454 (multiplicity 1)  1 P 1.53
O51 0.8621 0.5983 0.5730 (multiplicity 1)  1 P 1.51
O52 0.8876 0.0373 0.6762 (multiplicity 1)  1 P 1.59
O53 0.9782 0.2793 0.2545 (multiplicity 1)  1 P 1.57
O54 0.9808 0.4494 0.0006 (multiplicity 1)  1 P 1.54
O55 0.9854 0.5272 0.7695 (multiplicity 1)  2 P 1.60-1.62
O56 0.9845 0.7197 0.3562 (multiplicity 1)  1 P 1.51

Offset from the most stable computed form: 6 meV per atom
ΔE_f: -2.550 eV/atom
Spin magnetization: 0.378 μB per atom